Record 1
Below is MgCuF4 after structural relaxation, with properties calculated at the GGA-PBE level.

SG: No. 140
ΔH_f (0 K) (eV per atom): -2.732

Cell lengths 6.1857, 6.1857, 6.1857 Å; angles 131.31, 131.31, 71.31 degrees
Closest atoms and distances in Å follow each position.
Atoms (fractional coordinates):
Mg 0.2500 0.2500 0.0000  8 F 2.18
Mg 0.7500 0.7500 0.0000  8 F 2.18
Cu 0.0000 0.5000 0.5000  4 F 1.93
Cu 0.5000 0.0000 0.5000  4 F 1.93
F 0.0516 0.5516 0.8762  1 Cu 1.93
F 0.1754 0.0516 0.5000  1 Cu 1.93
F 0.3246 0.8246 0.8762  1 Cu 1.93
F 0.4484 0.3246 0.5000  1 Cu 1.93
F 0.5516 0.6754 0.5000  1 Cu 1.93
F 0.6754 0.1754 0.1238  1 Cu 1.93
F 0.8246 0.9484 0.5000  1 Cu 1.93
F 0.9484 0.4484 0.1238  1 Cu 1.93

=====

Record 2
Below is Nd2SiTeO4 after structural relaxation, with properties calculated at the GGA-PBE level.

Energy above the most stable polymorph in this dataset (meV per atom): 0
SG: No. 57
ΔH_f (0 K) (eV per atom): -3.220

Cell lengths 6.3577, 7.2672, 11.3019 Å; angles 90.00, 90.00, 90.00 degrees
Closest atoms and distances in Å follow each position.
Atoms (fractional coordinates):
Nd 0.1121 0.2500 0.0000  6 O 2.53-2.55
Nd 0.1121 0.2500 0.5000  6 O 2.53-2.55
Nd 0.3872 0.5389 0.2500  6 O 2.48-2.63
Nd 0.3872 0.9611 0.7500  6 O 2.48-2.63
Nd 0.6128 0.0389 0.2500  6 O 2.48-2.63
Nd 0.6128 0.4611 0.7500  6 O 2.48-2.63
Nd 0.8879 0.7500 0.0000  6 O 2.53-2.55
Nd 0.8879 0.7500 0.5000  6 O 2.53-2.55
Si 0.3857 0.7500 0.0000  4 O 1.65-1.67
Si 0.3857 0.7500 0.5000  4 O 1.65-1.67
Si 0.6143 0.2500 0.0000  4 O 1.65-1.67
Si 0.6143 0.2500 0.5000  4 O 1.65-1.67
Te 0.0961 0.5792 0.7500  5 Nd 3.19-3.40, 6 O 3.34-3.43
Te 0.0961 0.9208 0.2500  5 Nd 3.19-3.40, 6 O 3.34-3.43
Te 0.9039 0.0792 0.7500  5 Nd 3.19-3.40, 6 O 3.34-3.43
Te 0.9039 0.4208 0.2500  5 Nd 3.19-3.40, 6 O 3.34-3.43
O 0.2305 0.5771 0.0356  1 Si 1.65
O 0.2305 0.5771 0.4644  1 Si 1.65
O 0.2305 0.9229 0.5356  1 Si 1.65
O 0.2305 0.9229 0.9644  1 Si 1.65
O 0.4521 0.2307 0.6152  1 Si 1.67
O 0.4521 0.2307 0.8848  1 Si 1.67
O 0.4521 0.2693 0.1152  1 Si 1.67
O 0.4521 0.2693 0.3848  1 Si 1.67
O 0.5479 0.7307 0.6152  1 Si 1.67
O 0.5479 0.7307 0.8848  1 Si 1.67
O 0.5479 0.7693 0.1152  1 Si 1.67
O 0.5479 0.7693 0.3848  1 Si 1.67
O 0.7695 0.0771 0.0356  1 Si 1.65
O 0.7695 0.0771 0.4644  1 Si 1.65
O 0.7695 0.4229 0.5356  1 Si 1.65
O 0.7695 0.4229 0.9644  1 Si 1.65

=====

Record 3
Below is CsU2HC4O14 after structural relaxation, with properties calculated at the GGA-PBE level.

SG: No. 11
ΔH_f (0 K) (eV per atom): -2.178

Cell lengths 5.9133, 13.6890, 9.7254 Å; angles 90.00, 94.31, 90.00 degrees
Closest atoms and distances in Å follow each position.
Atoms (fractional coordinates):
Cs 0.0395 0.2500 0.1380  8 O 3.19-3.50
Cs 0.9605 0.7500 0.8620  8 O 3.19-3.50
U 0.2798 0.5883 0.2621  2 O 1.80-1.81
U 0.2798 0.9117 0.2621  2 O 1.80-1.81
U 0.7202 0.0883 0.7379  2 O 1.80-1.81
U 0.7202 0.4117 0.7379  2 O 1.80-1.81
H 0.4789 0.2500 0.6397  1 O 0.97
H 0.5211 0.7500 0.3603  1 O 0.97
C 0.0129 0.5489 0.5394  2 O 1.26-1.27
C 0.0129 0.9511 0.5394  2 O 1.26-1.27
C 0.4619 0.0517 0.0196  2 O 1.26-1.27
C 0.4619 0.4483 0.0196  2 O 1.26-1.27
C 0.5381 0.5517 0.9804  2 O 1.26-1.27
C 0.5381 0.9483 0.9804  2 O 1.26-1.27
C 0.9871 0.0489 0.4606  2 O 1.26-1.27
C 0.9871 0.4511 0.4606  2 O 1.26-1.27
O 0.0208 0.6254 0.1659  1 U 1.81
O 0.0208 0.8746 0.1659  1 U 1.81
O 0.0768 0.0536 0.3467  1 C 1.27
O 0.0768 0.4464 0.3467  1 C 1.27
O 0.1209 0.6157 0.4829  1 C 1.26
O 0.1209 0.8843 0.4829  1 C 1.26
O 0.3393 0.0576 0.1206  1 C 1.27
O 0.3393 0.4424 0.1206  1 C 1.27
O 0.3792 0.7500 0.3023  1 H 0.97
O 0.4266 0.7500 0.6808  4 O 3.14-3.49, 1 H 3.21, 2 Cs 3.38-3.50
O 0.4522 0.0567 0.6479  1 U 1.80
O 0.4522 0.4433 0.6479  1 U 1.80
O 0.4709 0.6217 0.0518  1 C 1.26
O 0.4709 0.8783 0.0518  1 C 1.26
O 0.5291 0.1217 0.9482  1 C 1.26
O 0.5291 0.3783 0.9482  1 C 1.26
O 0.5478 0.5567 0.3521  1 U 1.80
O 0.5478 0.9433 0.3521  1 U 1.80
O 0.5734 0.2500 0.3192  4 O 3.14-3.49, 1 H 3.21, 2 Cs 3.38-3.50
O 0.6208 0.2500 0.6977  1 H 0.97
O 0.6607 0.5576 0.8794  1 C 1.27
O 0.6607 0.9424 0.8794  1 C 1.27
O 0.8791 0.1157 0.5171  1 C 1.26
O 0.8791 0.3843 0.5171  1 C 1.26
O 0.9232 0.5536 0.6533  1 C 1.27
O 0.9232 0.9464 0.6533  1 C 1.27
O 0.9792 0.1254 0.8341  1 U 1.81
O 0.9792 0.3746 0.8341  1 U 1.81

=====

Record 4
Below is CsSr3 after structural relaxation, with properties calculated at the GGA-PBE level.

Energy above the most stable polymorph in this dataset (meV per atom): 0
SG: No. 139
ΔH_f (0 K) (eV per atom): 0.166

Cell lengths 6.3694, 6.3694, 12.4384 Å; angles 90.00, 90.00, 90.00 degrees
Closest atoms and distances in Å follow each position.
Atoms (fractional coordinates):
Cs 0.0000 0.0000 0.0000  12 Sr 4.45-4.50
Cs 0.5000 0.5000 0.5000  12 Sr 4.45-4.50
Sr 0.0000 0.0000 0.5000  8 Sr 4.45, 4 Cs 4.50
Sr 0.0000 0.5000 0.2500  8 Sr 4.45-4.50, 4 Cs 4.45
Sr 0.0000 0.5000 0.7500  8 Sr 4.45-4.50, 4 Cs 4.45
Sr 0.5000 0.0000 0.2500  8 Sr 4.45-4.50, 4 Cs 4.45
Sr 0.5000 0.0000 0.7500  8 Sr 4.45-4.50, 4 Cs 4.45
Sr 0.5000 0.5000 0.0000  8 Sr 4.45, 4 Cs 4.50

=====

Record 5
Below is AlSe4Cl4 after structural relaxation, with properties calculated at the GGA-PBE level.

SG: No. 29
ΔH_f (0 K) (eV per atom): -1.032

Cell lengths 15.2567, 10.9001, 13.8904 Å; angles 90.00, 90.00, 90.00 degrees
Closest atoms and distances in Å follow each position.
Atoms (fractional coordinates):
Al 0.1124 0.2341 0.0000  4 Cl 2.13-2.17
Al 0.2348 0.7367 0.1902  4 Cl 2.15-2.18
Al 0.2652 0.7367 0.6902  4 Cl 2.15-2.18
Al 0.3876 0.2341 0.5000  4 Cl 2.13-2.17
Al 0.6124 0.7659 0.0000  4 Cl 2.13-2.17
Al 0.7348 0.2633 0.1902  4 Cl 2.15-2.18
Al 0.7652 0.2633 0.6902  4 Cl 2.15-2.18
Al 0.8876 0.7659 0.5000  4 Cl 2.13-2.17
Se 0.0011 0.7723 0.8092  2 Se 2.35-2.37
Se 0.0049 0.7920 0.0330  2 Se 2.35-2.37
Se 0.0420 0.4131 0.5555  2 Se 2.35-2.37
Se 0.0416 0.4366 0.3128  2 Se 2.34-2.37
Se 0.1016 0.9664 0.4091  2 Se 2.35-2.37
Se 0.1290 0.1013 0.5377  2 Se 2.35
Se 0.1337 0.1238 0.2973  2 Se 2.35-2.37
Se 0.1481 0.4303 0.4341  2 Se 2.34-2.35
Se 0.3519 0.4303 0.9341  2 Se 2.34-2.35
Se 0.3663 0.1238 0.7973  2 Se 2.35-2.37
Se 0.3710 0.1013 0.0377  2 Se 2.35
Se 0.3984 0.9664 0.9091  2 Se 2.35-2.37
Se 0.4580 0.4131 0.0555  2 Se 2.35-2.37
Se 0.4584 0.4366 0.8128  2 Se 2.34-2.37
Se 0.4951 0.7920 0.5330  2 Se 2.35-2.37
Se 0.4989 0.7723 0.3092  2 Se 2.35-2.37
Se 0.5011 0.2277 0.8092  2 Se 2.35-2.37
Se 0.5049 0.2080 0.0330  2 Se 2.35-2.37
Se 0.5416 0.5634 0.3128  2 Se 2.34-2.37
Se 0.5420 0.5869 0.5555  2 Se 2.35-2.37
Se 0.6016 0.0336 0.4091  2 Se 2.35-2.37
Se 0.6290 0.8987 0.5377  2 Se 2.35
Se 0.6337 0.8762 0.2973  2 Se 2.35-2.37
Se 0.6481 0.5697 0.4341  2 Se 2.34-2.35
Se 0.8519 0.5697 0.9341  2 Se 2.34-2.35
Se 0.8663 0.8762 0.7973  2 Se 2.35-2.37
Se 0.8710 0.8987 0.0377  2 Se 2.35
Se 0.8984 0.0336 0.9091  2 Se 2.35-2.37
Se 0.9584 0.5634 0.8128  2 Se 2.34-2.37
Se 0.9580 0.5869 0.0555  2 Se 2.35-2.37
Se 0.9951 0.2080 0.5330  2 Se 2.35-2.37
Se 0.9989 0.2277 0.3092  2 Se 2.35-2.37
Cl 0.0228 0.7398 0.5449  1 Al 2.17
Cl 0.1042 0.7330 0.2544  1 Al 2.18
Cl 0.1303 0.2867 0.8533  1 Al 2.13
Cl 0.1456 0.0432 0.0191  1 Al 2.16
Cl 0.1869 0.5938 0.7536  1 Al 2.15
Cl 0.1938 0.3393 0.0971  1 Al 2.16
Cl 0.2062 0.9098 0.7292  1 Al 2.16
Cl 0.2210 0.7153 0.0373  1 Al 2.15
Cl 0.2790 0.7153 0.5373  1 Al 2.15
Cl 0.2938 0.9098 0.2292  1 Al 2.16
Cl 0.3062 0.3393 0.5971  1 Al 2.16
Cl 0.3131 0.5938 0.2536  1 Al 2.15
Cl 0.3544 0.0432 0.5191  1 Al 2.16
Cl 0.3697 0.2867 0.3533  1 Al 2.13
Cl 0.3958 0.7330 0.7544  1 Al 2.18
Cl 0.4772 0.7398 0.0449  1 Al 2.17
Cl 0.5228 0.2602 0.5449  1 Al 2.17
Cl 0.6042 0.2670 0.2544  1 Al 2.18
Cl 0.6303 0.7133 0.8533  1 Al 2.13
Cl 0.6456 0.9568 0.0191  1 Al 2.16
Cl 0.6869 0.4062 0.7536  1 Al 2.15
Cl 0.6938 0.6607 0.0971  1 Al 2.16
Cl 0.7062 0.0902 0.7292  1 Al 2.16
Cl 0.7210 0.2847 0.0373  1 Al 2.15
Cl 0.7790 0.2847 0.5373  1 Al 2.15
Cl 0.7938 0.0902 0.2292  1 Al 2.16
Cl 0.8062 0.6607 0.5971  1 Al 2.16
Cl 0.8131 0.4062 0.2536  1 Al 2.15
Cl 0.8544 0.9568 0.5191  1 Al 2.16
Cl 0.8697 0.7133 0.3533  1 Al 2.13
Cl 0.8958 0.2670 0.7544  1 Al 2.18
Cl 0.9772 0.2602 0.0449  1 Al 2.17

=====

Record 6
Below is SbBrO2F6 after structural relaxation, with properties calculated at the GGA-PBE level.

SG: No. 13
ΔH_f (0 K) (eV per atom): -1.851

Cell lengths 7.2805, 5.9612, 10.2850 Å; angles 90.00, 131.99, 90.00 degrees
Closest atoms and distances in Å follow each position.
Atoms (fractional coordinates):
Sb 0.0000 0.0332 0.2500  6 F 1.90-1.95
Sb 0.0000 0.9668 0.7500  6 F 1.90-1.95
Br 0.5000 0.3549 0.7500  2 O 1.62
Br 0.5000 0.6451 0.2500  2 O 1.62
O 0.3591 0.4918 0.0767  1 Br 1.62
O 0.3591 0.5082 0.5767  1 Br 1.62
O 0.6409 0.4918 0.4233  1 Br 1.62
O 0.6409 0.5082 0.9233  1 Br 1.62
F 0.1506 0.2057 0.7186  1 Sb 1.95
F 0.1506 0.7943 0.2186  1 Sb 1.95
F 0.1522 0.2531 0.2148  1 Sb 1.90
F 0.1522 0.7469 0.7148  1 Sb 1.90
F 0.2809 0.0243 0.4970  1 Sb 1.92
F 0.2809 0.9757 0.9970  1 Sb 1.92
F 0.7191 0.0243 0.0030  1 Sb 1.92
F 0.7191 0.9757 0.5030  1 Sb 1.92
F 0.8478 0.2531 0.2852  1 Sb 1.90
F 0.8478 0.7469 0.7852  1 Sb 1.90
F 0.8494 0.2057 0.7814  1 Sb 1.95
F 0.8494 0.7943 0.2814  1 Sb 1.95

=====

Q: Number 5 is which compound?
A: AlSe4Cl4

=====

Q: The lowest ΔH_f (0 K) belongs to which entry?
A: Nd2SiTeO4

=====

Q: Look up the ΔH_f (0 K) of the first one.
A: -2.732 eV per atom